Record 1
## Sr2Al5Ag5 (GGA-PBE)

Data for a geometry-optimized Sr2Al5Ag5 structure.

Its crystal system is orthorhombic. As for the calculated formation energy: -0.2681 eV/atom.

The structure belongs to space group Pmmm (No. 47); the cell edges are 4.511, 5.514 and 10.030 Å and the angles 90.00°, 90.00° and 90.00°. Symmetry generates all atoms from Sr at (0.000, 0.000, 0.000), Sr at (0.000, 0.500, 0.500), Al at (0.500, 0.000, 0.500), Al at (0.500, 0.249, 0.248), Ag at (0.000, 0.000, 0.333), Ag at (0.000, 0.500, 0.184) and Ag at (0.500, 0.500, 0.000).

Record 2
## NaLi2RhF6 (GGA-PBE)

Data for a geometry-optimized NaLi2RhF6 structure.

Its crystal system is cubic. As for the calculated formation energy: -2.3657 eV/atom.

The structure belongs to space group Fm-3m (No. 225); the cell edges are 8.286, 8.286 and 8.286 Å and the angles 90.00°, 90.00° and 90.00°. Symmetry generates all atoms from Na at (0.000, 0.000, 0.000), Li at (0.250, 0.250, 0.250), Rh at (0.000, 0.000, 0.500) and F at (0.000, 0.000, 0.260).

Record 3
## Ge19Sb4Br4 (GGA-PBE)

Data for a geometry-optimized Ge19Sb4Br4 structure.

Its crystal system is cubic. As for the calculated formation energy: -0.1923 eV/atom.

The structure belongs to space group P-43n (No. 218); the cell edges are 10.986, 10.986 and 10.986 Å and the angles 90.00°, 90.00° and 90.00°. Symmetry generates all atoms from Ge at (0.000, 0.250, 0.500), Ge at (0.009, 0.114, 0.685), Ge at (0.177, 0.177, 0.823), Sb at (0.184, 0.184, 0.184), Br at (0.000, 0.000, 0.000) and Br at (0.000, 0.500, 0.250).

Record 4
## K2TaAuF6 (GGA-PBE)

Data for a geometry-optimized K2TaAuF6 structure.

Its crystal system is cubic. As for the calculated formation energy: -2.7080 eV/atom.

The structure belongs to space group Fm-3m (No. 225); the cell edges are 10.190, 10.190 and 10.190 Å and the angles 90.00°, 90.00° and 90.00°. Symmetry generates all atoms from K at (0.250, 0.250, 0.250), Ta at (0.000, 0.000, 0.000), Au at (0.000, 0.000, 0.500) and F at (0.000, 0.000, 0.189).